Density functional theory data (PBE) for a geometry-optimized Mo2NCl8 structure.

Uncorrected energy   -4.81 eV/atom
Crystal system   monoclinic
Energy of formation   -27.238 kcal/mol of atoms

Cell lengths 10.355, 6.864, 18.639 Å; angles 90.00, 101.02, 90.00 degrees
Space group P2/c (No. 13)
Asymmetric unit:
Mo (0.066, 0.043, 0.164) (multiplicity 4)
Mo (0.387, 0.176, 0.628) (multiplicity 4)
N (0.207, 0.060, 0.646) (multiplicity 4)
Cl (0.000, 0.213, 0.750) (multiplicity 2)
Cl (0.060, 0.331, 0.104) (multiplicity 4)
Cl (0.087, 0.117, 0.920) (multiplicity 4)
Cl (0.163, 0.182, 0.279) (multiplicity 4)
Cl (0.284, 0.305, 0.520) (multiplicity 4)
Cl (0.340, 0.423, 0.701) (multiplicity 4)
Cl (0.413, 0.132, 0.085) (multiplicity 4)
Cl (0.414, 0.296, 0.887) (multiplicity 4)
Cl (0.500, 0.013, 0.750) (multiplicity 2)